[1]
An optimized crystal structure of KTlO3, computed with GGA-PBE.

The space group is Pm-3m (No. 221) and the conventional cell measures 4.411, 4.411 and 4.411 Å, with angles of 90.00, 90.00 and 90.00 degrees. Symmetry generates all atoms from K at (0.000, 0.000, 0.000), Tl at (0.500, 0.500, 0.500) and O at (0.000, 0.500, 0.500).

=====

[2]
An optimized crystal structure of KTmO2, computed with GGA-PBE.

The space group is R-3m (No. 166, hexagonal axes) and the conventional cell measures 3.4237, 3.4237 and 18.7156 Å, with angles of 90.00, 90.00 and 120.00 degrees. Symmetry generates all atoms from K at (0.0000, 0.0000, 0.0000), Tm at (0.0000, 0.0000, 0.5000) and O at (0.0000, 0.0000, 0.2277).

=====

no.,total energy after the MP2020 corrections (eV per atom),final energy (eV/atom),E_form (eV per atom)
1,-4.4643,-4.052,-0.80
2,-7.0360,-6.692,-3.17